138
Lattice="10.2293 0.0000 0.0000 0.0000 21.4915 0.0000 -6.2712 0.0000 13.0548" Properties=species:S:1:pos:R:3 comment="GeOs2C8Cl4O8 (PBE-GGA, optimized geometry)" rho_g_cm3=2.8 delta_e_f_ev_per_atom=-0.97 energy_corrected_mp2020_ev_per_atom=-7.396 pbc="T T T"
Ge 0.0000 0.3963 0.0000
Ge -3.1356 21.0951 6.5274
Ge -0.1774 5.5986 6.5331
Ge 2.9582 15.8928 0.0056
Ge -2.8892 8.8235 12.8934
Ge 0.2464 12.6680 6.3660
Os 2.1018 1.3081 0.9553
Os -1.0338 20.1833 7.4828
Os 4.6003 2.5025 2.1219
Os 1.4647 18.9889 8.6494
Os 2.0903 5.6230 7.5624
Os 5.2259 15.8685 1.0350
Os 5.6293 8.9023 0.9222
Os 2.4937 12.5892 7.4497
Os 4.8551 5.2919 8.7407
Os 7.9907 16.1996 2.2132
Os 8.3112 9.0481 2.3164
Os 5.1756 12.4434 8.8438
C -3.6017 4.9999 9.5178
C -0.4661 16.4916 2.9904
C -0.1601 9.1137 3.1851
C -3.2957 12.3778 9.7125
C 0.9955 2.0480 2.3864
C -2.1401 19.4435 8.9138
C -3.1488 0.6967 12.4588
C -0.0132 20.7948 5.9314
C -0.7170 0.2701 8.4579
C 2.4186 21.2213 1.9305
C 3.3641 3.9973 2.5500
C 0.2285 17.4941 9.0775
C 4.8575 3.2416 0.3123
C 1.7219 18.2499 6.8398
C 1.3235 4.7201 9.1168
C 4.4591 16.7713 2.5894
C 2.8616 6.4337 5.9620
C -0.2740 15.0577 12.4894
C 1.8345 7.3104 8.3437
C 4.9701 14.1810 1.8162
C 4.0598 1.5792 3.7904
C 0.9242 19.9123 10.3179
C 4.7603 9.5749 2.5392
C 5.8740 10.6264 0.2216
C 2.7384 10.8651 6.7490
C 1.6247 11.9165 9.0667
C 0.1564 8.0304 12.4206
C 3.2920 13.4611 5.8932
C 5.4551 0.8154 1.5561
C 2.3195 20.6761 8.0835
C 6.2387 3.3204 2.7916
C 3.1031 18.1710 9.3191
C 4.1383 3.5161 9.2855
C 5.2711 4.5981 6.9363
C 8.4067 16.8933 0.4089
C 7.2739 17.9754 2.7580
C 4.0438 6.0593 10.3615
C 7.1794 15.4322 3.8340
C 5.1934 7.0986 8.0425
C 8.3290 14.3928 1.5151
C 7.3022 8.2093 3.7960
C 4.1666 13.2821 10.3234
C 4.5562 10.7034 9.5286
C 7.6918 10.7881 3.0012
C 8.8680 9.8875 0.6298
C 5.7324 11.6039 7.1572
C 8.5743 7.2494 1.5222
C 5.4387 14.2420 8.0497
Cl -4.5952 3.3818 12.7284
Cl -1.4596 18.1096 6.2010
Cl -0.2534 5.9062 4.3551
Cl -3.3890 15.5852 10.8825
Cl -1.3832 3.7998 6.7761
Cl 1.7524 17.6917 0.2487
Cl -1.5201 7.1866 7.2860
Cl 1.6155 14.3048 0.7586
Cl 1.9113 7.3497 0.5052
Cl -1.2243 14.1417 7.0327
Cl 2.2542 10.7141 0.0145
Cl -0.8814 10.7773 6.5419
Cl -2.8615 8.5315 10.6980
Cl 0.2741 12.9600 4.1706
Cl 2.3319 3.4448 6.4547
Cl -0.8037 18.0466 12.9821
Cl 5.3444 6.6161 1.7665
Cl 2.2088 14.8754 8.2939
Cl 2.2684 1.7978 12.7975
Cl 5.4040 19.6937 6.2701
Cl 7.2739 0.5512 4.5515
Cl 4.1383 20.9403 11.0789
Cl 6.1760 1.1960 7.7414
Cl 9.3116 20.2955 1.2140
O 0.3013 2.4655 3.2080
O -2.8343 19.0260 9.7354
O -2.5666 4.8148 9.9899
O 0.5690 16.6766 3.4625
O 0.8832 9.1643 3.6728
O -2.2524 12.3272 10.2002
O -2.5642 0.3446 11.5272
O 0.5714 21.1469 4.9998
O -0.5348 1.2409 9.0764
O 2.6008 20.2505 2.5490
O 2.6402 4.8511 2.8045
O -0.4954 16.6404 9.3319
O -1.1995 3.6617 12.3184
O 1.9361 17.8297 5.7910
O 0.8496 4.2039 10.0353
O 3.9852 17.2875 3.5079
O 3.3087 6.9217 5.0145
O 0.1731 14.5698 11.5420
O 1.6587 8.3702 8.8023
O 4.7943 13.1212 2.2749
O 4.2253 9.9632 3.4882
O 1.0897 11.5283 10.0156
O 2.8937 9.8031 6.2901
O -0.2419 11.6884 12.8175
O 3.7201 1.0147 4.7312
O 0.5845 20.4767 11.2586
O 0.5929 7.4819 11.5022
O 3.7285 14.0095 4.9748
O 2.8020 0.1786 7.7642
O 5.9376 21.3128 1.2368
O 3.7172 2.5033 9.6249
O 6.8528 18.9882 3.0974
O 5.5303 4.2479 5.8734
O 2.3947 17.2436 12.4008
O 7.2330 3.8000 3.1240
O 4.0974 17.6914 9.6514
O 6.6944 7.7622 4.6630
O 4.1612 9.7042 9.9372
O 7.2968 11.7873 3.4098
O 3.5588 13.7293 11.1904
O 3.5477 6.5124 11.2967
O 6.6833 14.9790 4.7693
O 2.8871 10.3835 12.6852
O 6.0227 11.1079 6.1578
O 5.3855 8.1540 7.6145
O 8.5211 13.3375 1.0870
O 8.7393 6.1971 1.0878
O 5.6037 15.2943 7.6152